Record 1
# Li7Mn4CoO12, relaxed, DFT PBE+U
# E_form: -2.056 eV/atom
# E_tot: -149.30 eV per cell
# E above lowest polymorph: 0.028 eV per atom
data_Li7Mn4CoO12
_chemical_formula_sum 'Li7 Mn4 Co1 O12'
_space_group_name_H-M_alt 'P 1 2 1'
_space_group_IT_number 3
_cell_length_a 5.2106
_cell_length_b 8.6267
_cell_length_c 5.2150
_cell_angle_alpha 90.00
_cell_angle_beta 111.93
_cell_angle_gamma 90.00
loop_
_space_group_symop_operation_xyz
'x,y,z'
'-x,y,-z'
loop_
_atom_site_label
_atom_site_type_symbol
_atom_site_fract_x
_atom_site_fract_y
_atom_site_fract_z
Li1 Li 0.0000 0.0000 0.0000
Li2 Li 0.0000 0.1578 0.5000
Li3 Li 0.0000 0.3210 0.0000
Li4 Li 0.0000 0.4904 0.5000
Li5 Li 0.0000 0.6595 0.0000
Li6 Li 0.0000 0.8318 0.5000
Li7 Li 0.5000 0.1571 0.0000
Mn1 Mn 0.5000 0.3238 0.5000
Mn2 Mn 0.5000 0.4906 0.0000
Mn3 Mn 0.5000 0.6603 0.5000
Mn4 Mn 0.5000 0.8347 0.0000
Co1 Co 0.5000 0.9997 0.5000
O1 O 0.2635 0.9808 0.7617
O2 O 0.2646 0.4927 0.2755
O3 O 0.2660 0.6628 0.7768
O4 O 0.2698 0.1619 0.2818
O5 O 0.2849 0.3338 0.7410
O6 O 0.2898 0.8297 0.2506

---

Record 2
# Li4MnCo2O7, relaxed, DFT PBE+U
# E_form: -1.824 eV/atom
# E_tot: -162.87 eV per cell
# E above lowest polymorph: 0.060 eV per atom
data_Li4MnCo2O7
_chemical_formula_sum 'Li8 Mn2 Co4 O14'
_space_group_name_H-M_alt 'P 1'
_space_group_IT_number 1
_cell_length_a 2.9813
_cell_length_b 5.0771
_cell_length_c 16.7495
_cell_angle_alpha 89.33
_cell_angle_beta 87.06
_cell_angle_gamma 88.94
loop_
_space_group_symop_operation_xyz
'x,y,z'
loop_
_atom_site_label
_atom_site_type_symbol
_atom_site_fract_x
_atom_site_fract_y
_atom_site_fract_z
Li1 Li 0.0000 0.0000 0.0000
Li2 Li 0.0521 0.3334 0.8633
Li3 Li 0.2026 0.0540 0.5714
Li4 Li 0.3470 0.7696 0.2862
Li5 Li 0.4760 0.4633 0.0027
Li6 Li 0.6339 0.2056 0.7138
Li7 Li 0.7729 0.9103 0.4283
Li8 Li 0.9233 0.6308 0.1450
Mn1 Mn 0.1217 0.6941 0.7149
Mn2 Mn 0.5486 0.8466 0.8640
Co1 Co 0.2782 0.4101 0.4286
Co2 Co 0.4218 0.1250 0.1390
Co3 Co 0.7124 0.5531 0.5717
Co4 Co 0.8430 0.2632 0.2853
O1 O 0.0325 0.6860 0.9224
O2 O 0.0690 0.9891 0.7931
O3 O 0.1370 0.3896 0.6420
O4 O 0.2837 0.7102 0.5019
O5 O 0.3126 0.1072 0.3587
O6 O 0.3691 0.4141 0.2142
O7 O 0.4477 0.8419 0.0830
O8 O 0.5312 0.1434 0.9245
O9 O 0.5455 0.5398 0.7862
O10 O 0.6966 0.8563 0.6428
O11 O 0.7497 0.2605 0.5006
O12 O 0.8051 0.5660 0.3564
O13 O 0.8475 0.9678 0.2162
O14 O 0.9784 0.2990 0.0795